Record 1
Compound: Cr8O21
Source: Materials Project
Functional: PBE with a Hubbard U
Structure: relaxed

Summary:
Space-group type   P-1, No. 2
Calculated formation energy   -1202 meV per atom
Magnetic moment   10.00 μB/cell

Lattice parameters (Å, degrees): 5.4281 6.5928 12.6906 79.64 89.50 82.64
Atoms (fractional coordinates):
Cr  0.1345  0.1264  0.2447
Cr  0.1659  0.2482  0.9054
Cr  0.2310  0.3016  0.4713
Cr  0.3629  0.7050  0.9303
Cr  0.6371  0.2950  0.0697
Cr  0.7690  0.6984  0.5287
Cr  0.8341  0.7518  0.0946
Cr  0.8655  0.8736  0.7553
O  0.0000  0.5000  0.5000
O  0.0514  0.2619  0.7668
O  0.0912  0.6715  0.0324
O  0.1257  0.1523  0.3830
O  0.1395  0.7389  0.8065
O  0.1480  0.8586  0.2263
O  0.3028  0.0027  0.9333
O  0.3215  0.1459  0.5794
O  0.3603  0.2378  0.1754
O  0.4024  0.3961  0.9369
O  0.4631  0.4007  0.4156
O  0.5369  0.5993  0.5844
O  0.5976  0.6039  0.0631
O  0.6397  0.7622  0.8246
O  0.6785  0.8541  0.4206
O  0.6972  0.9973  0.0667
O  0.8520  0.1414  0.7737
O  0.8605  0.2611  0.1935
O  0.8743  0.8477  0.6170
O  0.9088  0.3285  0.9676
O  0.9486  0.7381  0.2332

Record 2
Compound: Cr2O3
Source: Materials Project
Functional: PBE with a Hubbard U
Structure: relaxed

Summary:
Space-group type   P1, No. 1
Calculated formation energy   -1905 meV per atom
Magnetic moment   96.00 μB/cell

Lattice parameters (Å, degrees): 10.0603 10.1294 10.3431 81.57 85.85 85.44
Atoms (fractional coordinates):
Cr  0.0000  0.0000  0.0000
Cr  0.0050  0.2797  0.8760
Cr  0.0589  0.2448  0.3989
Cr  0.0777  0.6158  0.4204
Cr  0.1165  0.8981  0.2393
Cr  0.1507  0.7823  0.6879
Cr  0.1592  0.1277  0.6588
Cr  0.1676  0.6704  0.9432
Cr  0.1724  0.5024  0.6709
Cr  0.3193  0.0434  0.4208
Cr  0.3508  0.2608  0.8077
Cr  0.3627  0.0255  0.1063
Cr  0.3677  0.7386  0.2320
Cr  0.3844  0.9242  0.7193
Cr  0.4373  0.5202  0.9048
Cr  0.4887  0.2413  0.1274
Cr  0.5309  0.5474  0.6380
Cr  0.5974  0.7733  0.9602
Cr  0.6058  0.8441  0.5274
Cr  0.6128  0.6414  0.3966
Cr  0.6226  0.1008  0.6115
Cr  0.6378  0.0627  0.8885
Cr  0.6603  0.5349  0.1536
Cr  0.7019  0.3205  0.7481
Cr  0.7074  0.3487  0.3963
Cr  0.7493  0.9031  0.2041
Cr  0.8083  0.2452  0.1577
Cr  0.8762  0.6756  0.6221
Cr  0.8829  0.7590  0.9874
Cr  0.9114  0.0014  0.7487
Cr  0.9384  0.9480  0.4847
Cr  0.9622  0.4735  0.1921
O  0.0067  0.6227  0.0598
O  0.0311  0.1042  0.8252
O  0.0467  0.8420  0.8954
O  0.0635  0.0221  0.3494
O  0.0751  0.4527  0.3325
O  0.0946  0.6147  0.7939
O  0.1584  0.3129  0.7481
O  0.1714  0.9880  0.0836
O  0.1758  0.7172  0.2578
O  0.1939  0.6687  0.5482
O  0.2293  0.9498  0.6012
O  0.2329  0.2007  0.4881
O  0.2794  0.5180  0.9981
O  0.3076  0.7588  0.8039
O  0.3091  0.0877  0.7715
O  0.3095  0.9120  0.2848
O  0.3541  0.2170  0.9966
O  0.3636  0.4643  0.7339
O  0.3671  0.1520  0.2481
O  0.4312  0.8377  0.0657
O  0.4666  0.7089  0.5227
O  0.4771  0.0069  0.5405
O  0.5044  0.6033  0.2623
O  0.5387  0.2079  0.7765
O  0.5507  0.5921  0.0055
O  0.5598  0.0720  0.0672
O  0.5606  0.9174  0.8079
O  0.6005  0.4755  0.7996
O  0.6216  0.3314  0.2226
O  0.6301  0.3875  0.5628
O  0.6317  0.8275  0.3437
O  0.6972  0.6530  0.5701
O  0.7203  0.7321  0.1078
O  0.7450  0.9642  0.5358
O  0.7501  0.5260  0.3208
O  0.7559  0.0755  0.2272
O  0.7610  0.1282  0.7318
O  0.7817  0.7202  0.8641
O  0.8158  0.9570  0.9405
O  0.8249  0.4389  0.0877
O  0.8539  0.3638  0.8138
O  0.8818  0.2948  0.3107
O  0.9348  0.7568  0.4415
O  0.9444  0.8729  0.1555
O  0.9525  0.1848  0.0440
O  0.9617  0.8383  0.6549
O  0.9826  0.1014  0.5772
O  0.9959  0.5229  0.5851

Record 3
Compound: Cr3O8
Source: Materials Project
Functional: PBE with a Hubbard U
Structure: relaxed

Summary:
Space-group type   P2_1/c, No. 14
Calculated formation energy   -1652 meV per atom
Magnetic moment   4.00 μB/cell

Lattice parameters (Å, degrees): 5.4627 8.1072 9.1518 90.00 126.17 90.00
Atoms (fractional coordinates):
Cr  0.0000  0.0000  0.0000
Cr  0.0000  0.5000  0.5000
Cr  0.3016  0.1829  0.8048
Cr  0.3016  0.3171  0.3048
Cr  0.6984  0.6829  0.6952
Cr  0.6984  0.8171  0.1952
O  0.0636  0.0630  0.8258
O  0.0636  0.4370  0.3258
O  0.0981  0.2224  0.0998
O  0.0981  0.2776  0.5998
O  0.4271  0.5598  0.6711
O  0.4271  0.9402  0.1711
O  0.4553  0.1838  0.4611
O  0.4553  0.3162  0.9611
O  0.5447  0.6838  0.0389
O  0.5447  0.8162  0.5389
O  0.5729  0.0598  0.8289
O  0.5729  0.4402  0.3289
O  0.9019  0.7224  0.4002
O  0.9019  0.7776  0.9002
O  0.9364  0.5630  0.6742
O  0.9364  0.9370  0.1742